[1]
The following is a DFT calculation (PBE-GGA) of a relaxed structure of SnP2H2O8.

Cell and atoms, written as POSCAR:
```
SnP2H2O8
1.0
7.9420 -4.0696 0.0000
7.9420 4.0696 0.0000
-0.7786 0.0000 4.9060
Sn P H O
2 4 4 16
Direct
0.1394 0.8606 0.7500
0.8606 0.1394 0.2500
0.0884 0.6540 0.1978
0.3460 0.9116 0.3022
0.6540 0.0884 0.6978
0.9116 0.3460 0.8022
0.1364 0.3929 0.8423
0.3929 0.1364 0.3423
0.6071 0.8636 0.6577
0.8636 0.6071 0.1577
0.0085 0.8485 0.0606
0.0841 0.3252 0.7210
0.1515 0.9915 0.4394
0.2036 0.4997 0.9941
0.2049 0.6512 0.4674
0.3252 0.0841 0.2210
0.3488 0.7951 0.0326
0.4997 0.2036 0.4941
0.5003 0.7964 0.5059
0.6512 0.2049 0.9674
0.6748 0.9159 0.7790
0.7951 0.3488 0.5326
0.7964 0.5003 0.0059
0.8485 0.0085 0.5606
0.9159 0.6748 0.2790
0.9915 0.1515 0.9394
```

Computed properties:
Its space group is C2/c (15). The corrected total energy (MP2020 scheme) is -6.83 eV/atom. The spin magnetization is 0.000 μB/f.u. The final energy is -6.410 eV per atom. The value obtained for the formation enthalpy at 0 K is -27.6 eV per formula unit.



[2]
The following is a DFT calculation (PBE-GGA) of a relaxed structure of SrP2H4O4.

Cell and atoms, written as POSCAR:
```
SrP2H4O4
1.0
8.0471 -3.0027 0.0000
8.0471 3.0027 0.0000
-0.4213 0.0000 5.9859
Sr P H O
2 4 8 8
Direct
0.2484 0.7516 0.7500
0.7516 0.2484 0.2500
0.1170 0.6120 0.2246
0.3880 0.8830 0.2754
0.6120 0.1170 0.7246
0.8830 0.3880 0.7754
0.0653 0.3196 0.6563
0.1977 0.4234 0.0847
0.3196 0.0653 0.1563
0.4234 0.1977 0.5847
0.5766 0.8023 0.4153
0.6804 0.9347 0.8437
0.8023 0.5766 0.9153
0.9347 0.6804 0.3437
0.0083 0.8169 0.0799
0.1831 0.9917 0.4201
0.3179 0.5135 0.3877
0.4865 0.6821 0.1123
0.5135 0.3179 0.8877
0.6821 0.4865 0.6123
0.8169 0.0083 0.5799
0.9917 0.1831 0.9201
```

Computed properties:
Its space group is C2/c (15). The corrected total energy (MP2020 scheme) is -5.93 eV/atom. The spin magnetization is 0.000 μB/f.u. The final energy is -5.676 eV per atom. The value obtained for the formation enthalpy at 0 K is -19.3 eV per formula unit.